Record 1
First-principles (GGA+U) data for MgTe3WO12 after structural relaxation, as listed in the Materials Project.

Structure (POSCAR):
```
MgTe3WO12
1.0
-5.096 1.662 -1.573
-8.148 -6.989 -2.995
-8.667 -4.394 1.486
O Te Mg W
12 3 1 1
direct
0.227 0.603 0.631
0.662 0.209 0.844
0.132 0.298 0.759
0.743 0.378 0.386
0.396 0.314 0.114
0.737 0.871 0.373
0.623 0.684 0.848
0.842 0.707 0.242
0.123 0.849 0.713
0.257 0.100 0.650
0.845 0.196 0.231
0.340 0.792 0.152
0.505 0.497 0.500
0.999 0.514 0.003
0.496 0.002 0.496
0.811 0.499 0.790
0.007 0.995 0.994
```

Values from the calculation:
Space-group type ... P1 (1)
Relative energy among the computed polymorphs ... 0.0328 eV per atom
Spin magnetization ... 0.0 Bohr magnetons per cell

=====

Record 2
First-principles (GGA+U) data for MgTe2W2O12 after structural relaxation, as listed in the Materials Project.

Structure (POSCAR):
```
MgTe2W2O12
1.0
-0.415 -1.054 5.042
-0.732 -5.419 -1.187
7.593 -1.302 0.101
O Mg W Te
12 1 2 2
direct
0.256 0.752 0.927
0.732 0.261 0.061
0.172 0.178 0.571
0.910 0.536 0.749
0.773 0.752 0.059
0.640 0.018 0.766
0.218 0.211 0.926
0.396 0.981 0.242
0.803 0.850 0.479
0.175 0.470 0.211
0.640 0.316 0.474
0.299 0.744 0.567
0.017 0.917 0.728
0.008 0.482 0.007
0.491 0.002 0.482
0.509 0.993 0.997
0.986 0.475 0.505
```

Values from the calculation:
Space-group type ... P1 (1)
Spin magnetization ... 0.0 Bohr magnetons per cell

=====

Record 3
First-principles (GGA+U) data for Mg2TeWO6 after structural relaxation, as listed in the Materials Project.

Structure (POSCAR):
```
Mg2TeWO6
1.0
-3.159 4.059 -1.329
-0.082 -1.642 -4.819
-7.605 -6.632 -2.180
O W Mg Te
12 2 4 2
direct
0.376 0.181 0.169
0.876 0.819 0.331
0.124 0.181 0.669
0.339 0.752 0.074
0.302 0.455 0.394
0.198 0.455 0.894
0.698 0.545 0.606
0.802 0.545 0.106
0.161 0.752 0.574
0.839 0.248 0.426
0.661 0.248 0.926
0.624 0.819 0.831
0.500 0.500 0.000
0.000 0.500 0.500
0.975 0.772 0.748
0.475 0.228 0.752
0.525 0.772 0.248
0.025 0.228 0.252
0.000 0.000 0.000
0.500 0.000 0.500
```

Values from the calculation:
Space-group type ... P2_1/c (14)
Relative energy among the computed polymorphs ... 0.0000 eV per atom
Spin magnetization ... 0.0 Bohr magnetons per cell

=====

Record 4
First-principles (GGA+U) data for MgTe3WO12 after structural relaxation, as listed in the Materials Project.

Structure (POSCAR):
```
MgTe3WO12
1.0
5.321 -0.151 0.000
-0.143 5.241 0.000
0.000 0.000 8.685
O W Mg Te
12 1 1 3
direct
0.189 0.194 0.936
0.322 0.806 0.764
0.307 0.814 0.084
0.679 0.315 0.432
0.150 0.278 0.568
0.811 0.806 0.936
0.099 0.257 0.253
0.850 0.722 0.568
0.901 0.743 0.253
0.678 0.194 0.764
0.321 0.685 0.432
0.693 0.186 0.084
0.000 0.000 0.109
0.000 0.000 0.717
0.500 0.000 0.920
0.500 0.500 0.605
0.000 0.500 0.414
```

Values from the calculation:
Space-group type ... P2 (3)
Relative energy among the computed polymorphs ... 0.0000 eV per atom
Spin magnetization ... 0.0 Bohr magnetons per cell

=====

Record 5
First-principles (GGA+U) data for MgTi2V2O8 after structural relaxation, as listed in the Materials Project.

Structure (POSCAR):
```
MgTi2V2O8
1.0
-3.858 -4.429 1.924
0.711 -5.107 -2.642
4.763 -3.104 1.114
V Ti O Mg
2 2 8 1
direct
0.285 0.228 0.514
0.070 0.005 0.074
0.821 0.756 0.577
0.401 0.512 0.912
0.946 0.328 0.684
0.056 0.194 0.251
0.576 0.187 0.306
0.443 0.314 0.757
0.576 0.730 0.763
0.946 0.739 0.274
0.386 0.752 0.139
0.046 0.751 0.796
0.758 0.504 0.261
```

Values from the calculation:
Space-group type ... Cm (8)
Relative energy among the computed polymorphs ... 0.1349 eV per atom
Spin magnetization ... 4.0 Bohr magnetons per cell

=====

Record 6
First-principles (GGA+U) data for MgTiV3O8 after structural relaxation, as listed in the Materials Project.

Structure (POSCAR):
```
MgTiV3O8
1.0
6.510 -0.068 0.109
-5.300 3.779 -0.109
-1.816 0.592 6.525
O V Mg Ti
8 3 1 1
direct
0.139 0.861 0.697
0.561 0.438 0.374
0.769 0.230 0.680
0.432 0.567 0.629
0.232 0.768 0.357
0.653 0.346 0.012
0.859 0.140 0.290
0.355 0.644 0.981
0.600 0.400 0.687
0.294 0.706 0.682
0.397 0.602 0.322
0.823 0.176 0.989
0.690 0.310 0.279
```

Values from the calculation:
Space-group type ... Cm (8)
Relative energy among the computed polymorphs ... 0.0000 eV per atom
Spin magnetization ... 5.0 Bohr magnetons per cell

=====

Number 1: formation energy from the elements -165.81 kJ/mol of atoms, total energy -99.896 eV per formula unit. Number 2: formation energy from the elements -183.01 kJ/mol of atoms, total energy -108.304 eV per formula unit. Number 3: formation energy from the elements -208.07 kJ/mol of atoms, total energy -61.994 eV per formula unit. Number 4: formation energy from the elements -168.98 kJ/mol of atoms, total energy -100.454 eV per formula unit. Number 5: formation energy from the elements -274.01 kJ/mol of atoms, total energy -103.165 eV per formula unit. Number 6: formation energy from the elements -264.88 kJ/mol of atoms, total energy -101.424 eV per formula unit.